VASP calculation (PBE) on crystalline Cu2C3NCl5 at its relaxed geometry.

Cell lengths 9.6780, 5.9894, 20.3347 Å; angles 78.46, 90.00, 90.00 degrees
With the nearest neighbours (Å) after each atom.
Element x y z (fractional)
Cu 0.8881 0.8202 0.9750  5 Cl 2.29-2.51
Cu 0.3881 0.1798 0.5250  5 Cl 2.29-2.51
Cu 0.1119 0.1798 0.0250  5 Cl 2.29-2.51
Cu 0.6119 0.8202 0.4750  5 Cl 2.29-2.51
Cu 0.7034 0.4247 0.9279  1 C 1.88
Cu 0.2034 0.5753 0.5721  1 C 1.88
Cu 0.2966 0.5753 0.0721  1 C 1.88
Cu 0.7966 0.4247 0.4279  1 C 1.88
C 0.9070 0.8440 0.7049  1 C 1.33
C 0.4070 0.1560 0.7951  1 C 1.33
C 0.0930 0.1560 0.2951  1 C 1.33
C 0.5930 0.8440 0.2049  1 C 1.33
C 0.0690 0.3995 0.6257  1 N 1.19
C 0.5690 0.6005 0.8743  1 N 1.19
C 0.9310 0.6005 0.3743  1 N 1.19
C 0.4310 0.3995 0.1257  1 N 1.19
C 0.9928 0.0184 0.6871  1 N 1.32, 1 C 1.33
C 0.4928 0.9816 0.8129  1 N 1.32, 1 C 1.33
C 0.0072 0.9816 0.3129  1 N 1.32, 1 C 1.33
C 0.5072 0.0184 0.1871  1 N 1.32, 1 C 1.33
N 0.0186 0.2283 0.6554  2 C 1.19-1.32
N 0.5186 0.7717 0.8446  2 C 1.19-1.32
N 0.9814 0.7717 0.3446  2 C 1.19-1.32
N 0.4814 0.2283 0.1554  2 C 1.19-1.32
Cl 0.8709 0.6725 0.8778  2 Cu 2.29-2.33
Cl 0.3709 0.3275 0.6222  2 Cu 2.29-2.33
Cl 0.1291 0.3275 0.1222  2 Cu 2.29-2.33
Cl 0.6291 0.6725 0.3778  2 Cu 2.29-2.33
Cl 0.7802 0.4969 0.0300  2 Cu 2.29-2.33
Cl 0.2802 0.5031 0.4700  2 Cu 2.29-2.33
Cl 0.2198 0.5031 0.9700  2 Cu 2.29-2.33
Cl 0.7198 0.4969 0.5300  2 Cu 2.29-2.33
Cl 0.6206 0.1781 0.7698  1 C 1.81
Cl 0.1206 0.8219 0.7302  1 C 1.81
Cl 0.3794 0.8219 0.2302  1 C 1.81
Cl 0.8794 0.1781 0.2698  1 C 1.81
Cl 0.6712 0.0540 0.9577  1 Cu 2.20
Cl 0.1712 0.9460 0.5423  1 Cu 2.20
Cl 0.3288 0.9460 0.0423  1 Cu 2.20
Cl 0.8288 0.0540 0.4577  1 Cu 2.20
Cl 0.0442 0.0870 0.9249  2 Cu 2.29-2.31
Cl 0.5442 0.9130 0.5751  2 Cu 2.29-2.31
Cl 0.9558 0.9130 0.0751  2 Cu 2.29-2.31
Cl 0.4558 0.0870 0.4249  2 Cu 2.29-2.31

## Properties
energy of formation: 0.073 eV per atom
total magnetization: 8.0 μB per cell
symmetry: P2_1/c (14)